Co3BiO8 | the Materials Project database | PBE+U | optimized geometry; E above lowest polymorph = 20.8 meV per atom; ΔH_f (0 K) = -1.106 eV per atom; E = -5.639 eV per atom; space-group type = P4_332 (212)
1.0
-2.1184 -0.0407 -8.0722
-7.5219 -3.0187 1.9892
-2.9295 7.7804 0.7296
O Bi Co
32 4 12
Direct
0.1731 0.8516 0.1143
0.1357 0.3984 0.0769
0.6357 0.1016 0.9231
0.6284 0.1284 0.3716
0.6016 0.5769 0.3643
0.3716 0.6284 0.1284
0.1016 0.9231 0.6357
0.8516 0.1143 0.1731
0.1143 0.1731 0.8516
0.6484 0.8857 0.6731
0.6216 0.8784 0.1216
0.5769 0.3643 0.6016
0.4231 0.8643 0.8984
0.6143 0.3269 0.1484
0.1284 0.3716 0.6284
0.8716 0.8716 0.8716
0.0769 0.1357 0.3984
0.8857 0.6731 0.6484
0.1484 0.6143 0.3269
0.3269 0.1484 0.6143
0.8984 0.4231 0.8643
0.8643 0.8984 0.4231
0.1216 0.6216 0.8784
0.8784 0.1216 0.6216
0.3984 0.0769 0.1357
0.8269 0.3516 0.3857
0.6731 0.6484 0.8857
0.3643 0.6016 0.5769
0.3784 0.3784 0.3784
0.3516 0.3857 0.8269
0.9231 0.6357 0.1016
0.3857 0.8269 0.3516
0.6250 0.6250 0.6250
0.8750 0.3750 0.1250
0.3750 0.1250 0.8750
0.1250 0.8750 0.3750
0.3538 0.3750 0.6038
0.8962 0.6462 0.8750
0.1462 0.6250 0.1038
0.1250 0.3962 0.8538
0.6250 0.1038 0.1462
0.6038 0.3538 0.3750
0.3750 0.6038 0.3538
0.3962 0.8538 0.1250
0.6462 0.8750 0.8962
0.8750 0.8962 0.6462
0.1038 0.1462 0.6250
0.8538 0.1250 0.3962

***

CoBi25O40 | the Materials Project database | PBE+U | optimized geometry; E above lowest polymorph = 4.5 meV per atom; ΔH_f (0 K) = -1.580 eV per atom; total magnetic moment = 0.00 μB/cell; E = -5.719 eV per atom; space-group type = P23 (195)
1.0
10.3499 0.0000 0.0000
0.0000 10.3499 0.0000
0.0000 0.0000 10.3499
O Bi Co
40 25 1
Direct
0.9900 0.2484 0.6335
0.8716 0.5090 0.7556
0.5090 0.2444 0.1284
0.8716 0.4910 0.2444
0.6850 0.6850 0.3150
0.4910 0.7556 0.1284
0.0949 0.0949 0.0949
0.0100 0.2484 0.3665
0.3665 0.0100 0.2484
0.7516 0.6335 0.0100
0.3150 0.6850 0.6850
0.8054 0.8054 0.8054
0.0100 0.7516 0.6335
0.9900 0.7516 0.3665
0.6335 0.9900 0.2484
0.6335 0.0100 0.7516
0.2444 0.8716 0.4910
0.9051 0.9051 0.0949
0.2484 0.6335 0.9900
0.2484 0.3665 0.0100
0.7556 0.8716 0.5090
0.6850 0.3150 0.6850
0.5090 0.7556 0.8716
0.4910 0.2444 0.8716
0.1946 0.8054 0.1946
0.3665 0.9900 0.7516
0.3736 0.6264 0.3736
0.8054 0.1946 0.1946
0.1946 0.1946 0.8054
0.1284 0.4910 0.7556
0.2444 0.1284 0.5090
0.3150 0.3150 0.3150
0.6264 0.6264 0.6264
0.6264 0.3736 0.3736
0.7556 0.1284 0.4910
0.7516 0.3665 0.9900
0.0949 0.9051 0.9051
0.3736 0.3736 0.6264
0.9051 0.0949 0.9051
0.1284 0.5090 0.2444
0.1768 0.9818 0.3196
0.0182 0.3196 0.8232
0.8191 0.3217 0.5106
0.6783 0.4894 0.8191
0.3217 0.5106 0.8191
0.9818 0.6804 0.8232
0.4894 0.8191 0.6783
0.1809 0.6783 0.5106
0.3196 0.8232 0.0182
0.0182 0.6804 0.1768
0.6804 0.1768 0.0182
0.5000 0.5000 0.5000
0.1809 0.3217 0.4894
0.5106 0.8191 0.3217
0.6783 0.5106 0.1809
0.6804 0.8232 0.9818
0.5106 0.1809 0.6783
0.3196 0.1768 0.9818
0.9818 0.3196 0.1768
0.4894 0.1809 0.3217
0.3217 0.4894 0.1809
0.8191 0.6783 0.4894
0.8232 0.9818 0.6804
0.1768 0.0182 0.6804
0.8232 0.0182 0.3196
0.0000 0.0000 0.0000

***

Co3BiO8 | the Materials Project database | PBE+U | optimized geometry; E above lowest polymorph = 0.0 meV per atom; ΔH_f (0 K) = -1.127 eV per atom; total magnetic moment = 8.00 μB/cell; E = -5.660 eV per atom; space-group type = P2_1 (4)
1.0
8.3658 0.0000 0.0000
0.0000 8.3084 0.0000
0.0000 0.0011 8.3411
O Co Bi
32 12 4
Direct
0.1222 0.1263 0.6293
0.5996 0.6389 0.6700
0.8307 0.6128 0.9015
0.3307 0.3872 0.0985
0.1373 0.9216 0.8513
0.3870 0.6500 0.4198
0.0996 0.3611 0.3300
0.6171 0.8538 0.9226
0.3970 0.8647 0.1718
0.3756 0.6211 0.8677
0.3731 0.8723 0.6201
0.8756 0.3789 0.1323
0.8543 0.8288 0.1398
0.4213 0.1040 0.3858
0.6315 0.6298 0.1243
0.6732 0.1116 0.6015
0.6222 0.8737 0.3707
0.8626 0.5790 0.3552
0.8870 0.3500 0.5802
0.1171 0.1462 0.0774
0.8731 0.1277 0.3799
0.6373 0.0784 0.1487
0.3626 0.4210 0.6448
0.9213 0.8960 0.6142
0.1732 0.8884 0.3985
0.6501 0.3285 0.3659
0.1315 0.3702 0.8757
0.1501 0.6715 0.6341
0.3543 0.1712 0.8602
0.8970 0.1353 0.8282
0.5796 0.4003 0.8854
0.0796 0.5997 0.1146
0.6271 0.8526 0.1488
0.3742 0.6485 0.6463
0.6044 0.6258 0.8951
0.1044 0.3742 0.1049
0.3522 0.3986 0.8727
0.3958 0.8762 0.3982
0.1473 0.8975 0.6251
0.6473 0.1025 0.3749
0.8522 0.6014 0.1273
0.8742 0.3515 0.3537
0.8958 0.1238 0.6018
0.1271 0.1474 0.8512
0.6239 0.3753 0.6271
0.3761 0.1269 0.1228
0.8761 0.8731 0.8772
0.1239 0.6247 0.3729

***

Co5BiO12 | the Materials Project database | PBE+U | optimized geometry; ΔH_f (0 K) = -1.056 eV per atom; total magnetic moment = 4.00 μB/cell; E = -5.633 eV per atom; space-group type = C2/m (12)
1.0
4.4077 2.5378 0.0000
-4.4077 2.5378 0.0000
0.0000 0.0511 9.4427
O Co Bi
12 5 1
Direct
0.9989 0.3679 0.1069
0.6321 0.0011 0.8931
0.3705 0.3705 0.8927
0.1658 0.4984 0.5943
0.4984 0.1658 0.5943
0.8342 0.5016 0.4057
0.6295 0.6295 0.1073
0.1667 0.1667 0.4048
0.5016 0.8342 0.4057
0.0011 0.6321 0.8931
0.8333 0.8333 0.5952
0.3679 0.9989 0.1069
0.3332 0.6668 0.0000
0.6668 0.3332 0.0000
0.1665 0.8335 0.5000
0.8335 0.1665 0.5000
0.5000 0.5000 0.5000
0.0000 0.0000 0.0000

***

CoBiO3 | the Materials Project database | PBE+U | optimized geometry; ΔH_f (0 K) = -1.382 eV per atom; total magnetic moment = 8.00 μB/cell; E = -5.810 eV per atom; space-group type = Pnma (62)
1.0
-1.6839 -5.0526 0.6505
3.8327 -0.7779 3.8794
-4.9290 2.3298 5.3368
Co Bi O
4 4 12
Direct
0.0000 0.5000 0.5000
0.5000 0.0000 0.5000
0.0000 0.5000 0.0000
0.5000 0.0000 0.0000
0.5101 0.5540 0.2500
0.0101 0.9460 0.7500
0.4899 0.4460 0.7500
0.9899 0.0540 0.2500
0.7045 0.2930 0.0416
0.4167 0.9765 0.2500
0.9167 0.5235 0.7500
0.2045 0.2070 0.9584
0.7955 0.7930 0.4584
0.2955 0.7070 0.5416
0.2955 0.7070 0.9584
0.7955 0.7930 0.0416
0.7045 0.2930 0.4584
0.5833 0.0235 0.7500
0.2045 0.2070 0.5416
0.0833 0.4765 0.2500

***

CoBi2O7 | the Materials Project database | PBE+U | optimized geometry; ΔH_f (0 K) = -0.986 eV per atom; total magnetic moment = 15.91 μB/cell; E = -5.293 eV per atom; space-group type = P2_1/c (14)
1.0
-14.8301 -8.7489 -0.1160
2.4374 -4.0496 -6.1814
5.0127 -8.5346 2.8353
Bi Co O
16 8 56
Direct
0.3478 0.7977 0.5801
0.0011 0.4967 0.7339
0.8478 0.2023 0.9199
0.2038 0.4579 0.7519
0.5011 0.5033 0.7661
0.1402 0.1548 0.4289
0.7038 0.5421 0.7481
0.1522 0.7977 0.0801
0.6522 0.2023 0.4199
0.6402 0.8452 0.0711
0.4989 0.4967 0.2339
0.3598 0.1548 0.9289
0.9989 0.5033 0.2661
0.7962 0.5421 0.2481
0.2962 0.4579 0.2519
0.8598 0.8452 0.5711
0.1843 0.6352 0.4237
0.6843 0.3648 0.0763
0.7447 0.0201 0.7450
0.2447 0.9799 0.7550
0.2553 0.9799 0.2550
0.7553 0.0201 0.2450
0.3157 0.6352 0.9237
0.8157 0.3648 0.5763
0.3403 0.9698 0.3669
0.6597 0.0302 0.6331
0.6044 0.5574 0.6300
0.7326 0.7860 0.2395
0.4354 0.2715 0.7462
0.8106 0.9587 0.8877
0.1052 0.6665 0.3025
0.4588 0.7013 0.5645
0.0412 0.7013 0.0645
0.5412 0.2987 0.4355
0.0277 0.2617 0.4646
0.0646 0.2715 0.2462
0.7496 0.2707 0.7356
0.1216 0.5328 0.5855
0.5646 0.7285 0.2538
0.8476 0.9639 0.3518
0.2674 0.2140 0.7605
0.1852 0.8869 0.4029
0.2082 0.4037 0.4191
0.4723 0.2617 0.9646
0.1044 0.4426 0.8700
0.3956 0.4426 0.3700
0.2496 0.7293 0.7644
0.6894 0.9587 0.3877
0.2504 0.7293 0.2644
0.3106 0.0413 0.6123
0.3476 0.0361 0.1482
0.1524 0.0361 0.6482
0.8784 0.4672 0.4145
0.6052 0.3335 0.1975
0.7674 0.7860 0.7395
0.7504 0.2707 0.2356
0.8403 0.0302 0.1331
0.6852 0.1131 0.0971
0.8148 0.1131 0.5971
0.8956 0.5574 0.1300
0.5277 0.7383 0.0354
0.8948 0.3335 0.6975
0.6216 0.4672 0.9145
0.2709 0.5890 0.5563
0.2918 0.4037 0.9191
0.1894 0.0413 0.1123
0.2326 0.2140 0.2605
0.6524 0.9639 0.8518
0.7709 0.4110 0.9437
0.7918 0.5963 0.5809
0.7082 0.5963 0.0809
0.9723 0.7383 0.5354
0.3948 0.6665 0.8025
0.9588 0.2987 0.9355
0.3784 0.5328 0.0855
0.9354 0.7285 0.7538
0.3148 0.8869 0.9029
0.1597 0.9698 0.8669
0.2291 0.5890 0.0563
0.7291 0.4110 0.4437

***

Co8Bi5O20 | the Materials Project database | PBE+U | optimized geometry; ΔH_f (0 K) = -1.191 eV per atom; total magnetic moment = 15.00 μB/cell; E = -5.689 eV per atom; space-group type = P1 (1)
1.0
-2.3800 5.8771 -4.7714
-6.2953 -2.1665 4.4019
5.9498 2.7858 5.0603
O Bi Co
20 5 8
Direct
0.7963 0.1088 0.4625
0.2636 0.2706 0.2706
0.3433 0.6582 0.7355
0.6787 0.3476 0.2960
0.0322 0.0594 0.7522
0.2938 0.9850 0.9397
0.9147 0.5508 0.2132
0.5655 0.2604 0.9199
0.1167 0.4666 0.8242
0.9313 0.2450 0.9724
0.6630 0.6886 0.2852
0.0008 0.9660 0.3019
0.4423 0.8052 0.1210
0.6445 0.7003 0.6559
0.3235 0.6912 0.3347
0.2665 0.8904 0.5693
0.0573 0.7759 0.0184
0.7647 0.0365 0.0857
0.7100 0.3430 0.6576
0.3317 0.2814 0.6735
0.8475 0.6807 0.5296
0.6531 0.5264 0.8560
0.4870 0.1327 0.3347
0.1000 0.2929 0.4648
0.3215 0.4617 0.1153
0.7183 0.8894 0.2154
0.1094 0.7748 0.2713
0.2281 0.7325 0.8937
0.7842 0.2809 0.1119
0.4228 0.7575 0.5939
0.8877 0.2192 0.7278
0.2957 0.0999 0.7754
0.0042 0.0203 0.0209